# 1
Below is an optimized crystal structure of Nb2AsC, with properties calculated at the GGA-PBE level.

Lattice parameters (Å, degrees): 3.343 3.343 12.067 90.00 90.00 120.00
Sites, in units of the cell vectors:
Nb: 0.333 0.667 0.594
Nb: 0.667 0.333 0.094
Nb: 0.667 0.333 0.406
Nb: 0.333 0.667 0.906
As: 0.667 0.333 0.750
As: 0.333 0.667 0.250
C: 0.000 0.000 0.500
C: 0.000 0.000 0.000

Calculated values
DFT formation energy: -239 kJ/mol of formula units
total energy: -9.1415 eV/atom


# 2
Below is an optimized crystal structure of V3AsC, with properties calculated at the GGA-PBE level.

Lattice parameters (Å, degrees): 5.316 5.316 7.691 90.00 90.00 145.88
Sites, in units of the cell vectors:
V: 0.873 0.127 0.551
V: 0.455 0.545 0.250
V: 0.545 0.455 0.750
V: 0.873 0.127 0.949
V: 0.127 0.873 0.051
V: 0.127 0.873 0.449
As: 0.758 0.242 0.250
As: 0.242 0.758 0.750
C: 0.500 0.500 0.500
C: 0.500 0.500 0.000

Calculated values
DFT formation energy: -249 kJ/mol of formula units
total energy: -8.7445 eV/atom


# 3
Below is an optimized crystal structure of V5As3C, with properties calculated at the GGA-PBE level.

Lattice parameters (Å, degrees): 7.146 7.146 5.245 90.00 90.00 120.00
Sites, in units of the cell vectors:
V: 0.667 0.333 0.500
V: 0.333 0.667 0.500
V: 0.333 0.667 0.000
V: 0.667 0.333 0.000
V: 0.777 0.777 0.250
V: 0.223 0.000 0.250
V: 0.000 0.223 0.250
V: 0.223 0.223 0.750
V: 0.777 0.000 0.750
V: 0.000 0.777 0.750
As: 0.402 0.402 0.250
As: 0.598 0.000 0.250
As: 0.000 0.598 0.250
As: 0.598 0.598 0.750
As: 0.402 0.000 0.750
As: 0.000 0.402 0.750
C: 0.000 0.000 0.500
C: 0.000 0.000 0.000

Calculated values
size of the total moment: 0.12 μB per formula unit
DFT formation energy: -382 kJ/mol of formula units
total energy: -8.0648 eV/atom


# 4
Below is an optimized crystal structure of Ca3As2, with properties calculated at the GGA-PBE level.

Lattice parameters (Å, degrees): 5.447 5.447 5.447 90.00 90.00 90.00
Sites, in units of the cell vectors:
Ca: 0.000 0.500 0.500
Ca: 0.500 0.000 0.500
Ca: 0.500 0.500 0.000
As: 0.000 0.000 0.000
As: 0.500 0.500 0.500

Calculated values
size of the total moment: 0.00 μB per formula unit
DFT formation energy: -372 kJ/mol of formula units
total energy: -3.8379 eV/atom


# 5
Below is an optimized crystal structure of Ca2As3, with properties calculated at the GGA-PBE level.

Lattice parameters (Å, degrees): 5.858 12.037 18.183 49.36 90.00 90.00
Sites, in units of the cell vectors:
Ca: 0.246 0.375 0.999
Ca: 0.246 0.625 0.501
Ca: 0.754 0.625 0.001
Ca: 0.754 0.375 0.499
Ca: 0.260 0.133 0.491
Ca: 0.260 0.867 0.009
Ca: 0.740 0.867 0.509
Ca: 0.740 0.133 0.991
Ca: 0.548 0.759 0.249
Ca: 0.548 0.241 0.251
Ca: 0.452 0.241 0.751
Ca: 0.452 0.759 0.749
Ca: 0.960 0.000 0.250
Ca: 0.040 0.000 0.750
Ca: 0.909 0.500 0.250
Ca: 0.091 0.500 0.750
As: 0.547 0.925 0.842
As: 0.547 0.075 0.658
As: 0.453 0.075 0.158
As: 0.453 0.925 0.342
As: 0.732 0.714 0.423
As: 0.732 0.286 0.077
As: 0.268 0.286 0.577
As: 0.268 0.714 0.923
As: 0.397 0.548 0.165
As: 0.397 0.452 0.335
As: 0.603 0.452 0.835
As: 0.603 0.548 0.665
As: 0.050 0.157 0.329
As: 0.050 0.843 0.171
As: 0.950 0.843 0.671
As: 0.950 0.157 0.829
As: 0.226 0.188 0.922
As: 0.226 0.812 0.578
As: 0.774 0.812 0.078
As: 0.774 0.188 0.422
As: 0.097 0.394 0.155
As: 0.097 0.606 0.345
As: 0.903 0.606 0.845
As: 0.903 0.394 0.655

Calculated values
DFT formation energy: -424 kJ/mol of formula units
total energy: -4.4764 eV/atom


# 6
Below is an optimized crystal structure of CaAs3, with properties calculated at the GGA-PBE level.

Lattice parameters (Å, degrees): 5.881 5.927 5.990 80.10 70.65 75.48
Sites, in units of the cell vectors:
Ca: 0.661 0.684 0.632
Ca: 0.339 0.316 0.368
As: 0.779 0.012 0.016
As: 0.221 0.988 0.984
As: 0.190 0.855 0.408
As: 0.810 0.145 0.592
As: 0.779 0.589 0.099
As: 0.221 0.411 0.901

Calculated values
DFT formation energy: -215 kJ/mol of formula units
total energy: -4.5540 eV/atom


# 7
Below is an optimized crystal structure of Ca4As3, with properties calculated at the GGA-PBE level.

Lattice parameters (Å, degrees): 10.436 11.585 12.161 90.00 90.00 90.00
Sites, in units of the cell vectors:
Ca: 0.274 0.594 0.265
Ca: 0.274 0.406 0.735
Ca: 0.726 0.094 0.235
Ca: 0.726 0.906 0.765
Ca: 0.726 0.406 0.735
Ca: 0.726 0.594 0.265
Ca: 0.274 0.906 0.765
Ca: 0.274 0.094 0.235
Ca: 0.324 0.824 0.067
Ca: 0.324 0.176 0.933
Ca: 0.676 0.324 0.433
Ca: 0.676 0.676 0.567
Ca: 0.676 0.176 0.933
Ca: 0.676 0.824 0.067
Ca: 0.324 0.676 0.567
Ca: 0.324 0.324 0.433
Ca: 0.500 0.875 0.365
Ca: 0.500 0.125 0.635
Ca: 0.500 0.375 0.135
Ca: 0.500 0.625 0.865
Ca: 0.000 0.726 0.424
Ca: 0.000 0.274 0.576
Ca: 0.000 0.226 0.076
Ca: 0.000 0.774 0.924
Ca: 0.000 0.899 0.207
Ca: 0.000 0.101 0.793
Ca: 0.000 0.399 0.293
Ca: 0.000 0.601 0.707
Ca: 0.184 0.500 0.000
Ca: 0.816 0.000 0.500
Ca: 0.816 0.500 0.000
Ca: 0.184 0.000 0.500
As: 0.233 0.837 0.324
As: 0.233 0.163 0.676
As: 0.767 0.337 0.176
As: 0.767 0.663 0.824
As: 0.767 0.163 0.676
As: 0.767 0.837 0.324
As: 0.233 0.663 0.824
As: 0.233 0.337 0.176
As: 0.500 0.539 0.402
As: 0.500 0.461 0.598
As: 0.500 0.039 0.098
As: 0.500 0.961 0.902
As: 0.500 0.635 0.114
As: 0.500 0.365 0.886
As: 0.500 0.135 0.386
As: 0.500 0.865 0.614
As: 0.000 0.640 0.143
As: 0.000 0.360 0.857
As: 0.000 0.140 0.357
As: 0.000 0.860 0.643
As: 0.123 0.500 0.500
As: 0.877 0.000 0.000
As: 0.877 0.500 0.500
As: 0.123 0.000 0.000

Calculated values
DFT formation energy: -785 kJ/mol of formula units
total energy: -4.3049 eV/atom


# 8
Below is an optimized crystal structure of Ca5As3, with properties calculated at the GGA-PBE level.

Lattice parameters (Å, degrees): 8.529 8.529 6.804 90.00 90.00 120.00
Sites, in units of the cell vectors:
Ca: 0.333 0.667 0.000
Ca: 0.667 0.333 0.500
Ca: 0.667 0.333 0.000
Ca: 0.333 0.667 0.500
Ca: 0.746 0.000 0.250
Ca: 0.746 0.746 0.750
Ca: 0.000 0.254 0.750
Ca: 0.000 0.746 0.250
Ca: 0.254 0.254 0.250
Ca: 0.254 0.000 0.750
As: 0.390 0.000 0.250
As: 0.390 0.390 0.750
As: 0.000 0.610 0.750
As: 0.000 0.390 0.250
As: 0.610 0.610 0.250
As: 0.610 0.000 0.750

Calculated values
DFT formation energy: -855 kJ/mol of formula units
total energy: -4.1090 eV/atom


# 9
Below is an optimized crystal structure of Ca2As, with properties calculated at the GGA-PBE level.

Lattice parameters (Å, degrees): 8.571 8.571 8.571 149.06 149.06 44.32
Sites, in units of the cell vectors:
Ca: 0.000 0.500 0.500
Ca: 0.500 0.000 0.500
Ca: 0.321 0.321 0.000
Ca: 0.679 0.679 0.000
As: 0.134 0.134 0.000
As: 0.866 0.866 0.000

Calculated values
DFT formation energy: -272 kJ/mol of formula units
total energy: -3.8301 eV/atom


# 10
Below is an optimized crystal structure of Ca2CdAs2, with properties calculated at the GGA-PBE level.

Lattice parameters (Å, degrees): 4.346 7.186 8.583 90.00 104.67 90.00
Sites, in units of the cell vectors:
Ca: 0.300 0.067 0.600
Ca: 0.700 0.567 0.400
Ca: 0.468 0.728 0.936
Ca: 0.532 0.228 0.064
Cd: 0.099 0.893 0.199
Cd: 0.901 0.393 0.801
As: 0.065 0.514 0.129
As: 0.935 0.014 0.871
As: 0.319 0.502 0.638
As: 0.681 0.002 0.362

Calculated values
DFT formation energy: -450 kJ/mol of formula units
total energy: -3.7823 eV/atom
piezoelectric modulus e_max: 0.875 C/m2


# 11
Below is an optimized crystal structure of Ca2CdAs2, with properties calculated at the GGA-PBE level.

Lattice parameters (Å, degrees): 11.057 11.057 14.489 70.45 70.45 22.58
Sites, in units of the cell vectors:
Ca: 0.981 0.981 0.615
Ca: 0.838 0.838 0.502
Ca: 0.810 0.810 0.770
Ca: 0.436 0.436 0.213
Ca: 0.405 0.405 0.936
Ca: 0.277 0.277 0.193
Ca: 0.174 0.174 0.579
Ca: 0.148 0.148 0.852
Ca: 0.114 0.114 0.123
Ca: 0.106 0.106 0.366
Cd: 0.000 0.000 0.000
Cd: 0.765 0.765 0.032
Cd: 0.719 0.719 0.383
Cd: 0.566 0.566 0.731
Cd: 0.473 0.473 0.438
As: 0.992 0.992 0.811
As: 0.982 0.982 0.323
As: 0.873 0.873 0.107
As: 0.697 0.697 0.701
As: 0.673 0.673 0.222
As: 0.586 0.586 0.519
As: 0.570 0.570 0.021
As: 0.381 0.381 0.622
As: 0.290 0.290 0.391
As: 0.264 0.264 0.926

Calculated values
size of the total moment: 0.00 μB per formula unit
DFT formation energy: -439 kJ/mol of formula units
total energy: -3.7609 eV/atom


# 12
Below is an optimized crystal structure of Ca5As3ClO12, with properties calculated at the GGA-PBE level.

Lattice parameters (Å, degrees): 10.257 10.257 6.876 90.00 90.00 120.00
Sites, in units of the cell vectors:
Ca: 0.333 0.667 0.996
Ca: 0.667 0.333 0.496
Ca: 0.667 0.333 0.004
Ca: 0.333 0.667 0.504
Ca: 0.976 0.728 0.749
Ca: 0.752 0.024 0.749
Ca: 0.272 0.248 0.749
Ca: 0.024 0.272 0.249
Ca: 0.248 0.976 0.249
Ca: 0.728 0.752 0.249
As: 0.621 0.591 0.750
As: 0.970 0.379 0.750
As: 0.409 0.030 0.750
As: 0.379 0.409 0.250
As: 0.030 0.621 0.250
As: 0.591 0.970 0.250
Cl: 0.000 0.000 0.869
Cl: 0.000 0.000 0.369
O: 0.353 0.842 0.750
O: 0.490 0.647 0.750
O: 0.158 0.510 0.750
O: 0.647 0.158 0.250
O: 0.510 0.353 0.250
O: 0.842 0.490 0.250
O: 0.860 0.465 0.750
O: 0.605 0.140 0.750
O: 0.535 0.395 0.750
O: 0.140 0.535 0.250
O: 0.395 0.860 0.250
O: 0.465 0.605 0.250
O: 0.739 0.648 0.950
O: 0.910 0.261 0.950
O: 0.352 0.090 0.950
O: 0.261 0.352 0.450
O: 0.090 0.739 0.450
O: 0.648 0.910 0.450
O: 0.260 0.349 0.052
O: 0.089 0.740 0.052
O: 0.651 0.911 0.052
O: 0.740 0.651 0.552
O: 0.911 0.260 0.552
O: 0.349 0.089 0.552

Calculated values
DFT formation energy: -5496 kJ/mol of formula units
total energy: -6.3786 eV/atom


# 13
Below is an optimized crystal structure of CaCuAs, with properties calculated at the GGA-PBE level.

Lattice parameters (Å, degrees): 4.195 4.195 7.960 90.00 90.00 120.00
Sites, in units of the cell vectors:
Ca: 0.000 0.000 0.500
Ca: 0.000 0.000 0.000
Cu: 0.333 0.667 0.750
Cu: 0.667 0.333 0.250
As: 0.667 0.333 0.750
As: 0.333 0.667 0.250

Calculated values
DFT formation energy: -235 kJ/mol of formula units
total energy: -4.3996 eV/atom


# 14
Below is an optimized crystal structure of Ca5Cu19As10, with properties calculated at the GGA-PBE level.

Lattice parameters (Å, degrees): 39.654 23.062 30.615 13.68 15.15 10.00
Sites, in units of the cell vectors:
Ca: 0.998 0.002 0.002
Ca: 0.201 0.996 0.000
Ca: 0.400 0.997 0.002
Ca: 0.600 0.002 0.998
Ca: 0.800 0.997 0.002
Ca: 0.000 0.003 0.498
Ca: 0.199 0.004 0.500
Ca: 0.402 0.998 0.498
Ca: 0.600 0.003 0.498
Ca: 0.800 0.998 0.502
Cu: 0.143 0.144 0.071
Cu: 0.027 0.434 0.219
Cu: 0.355 0.113 0.077
Cu: 0.223 0.440 0.218
Cu: 0.142 0.147 0.570
Cu: 0.542 0.144 0.072
Cu: 0.177 0.560 0.282
Cu: 0.024 0.437 0.720
Cu: 0.424 0.438 0.218
Cu: 0.341 0.147 0.572
Cu: 0.045 0.887 0.423
Cu: 0.742 0.144 0.072
Cu: 0.373 0.566 0.281
Cu: 0.226 0.437 0.718
Cu: 0.546 0.154 0.558
Cu: 0.257 0.856 0.429
Cu: 0.930 0.156 0.077
Cu: 0.174 0.563 0.782
Cu: 0.575 0.565 0.281
Cu: 0.425 0.436 0.719
Cu: 0.825 0.435 0.219
Cu: 0.059 0.853 0.928
Cu: 0.742 0.139 0.575
Cu: 0.471 0.844 0.423
Cu: 0.376 0.563 0.780
Cu: 0.626 0.436 0.718
Cu: 0.258 0.853 0.930
Cu: 0.946 0.138 0.571
Cu: 0.658 0.856 0.428
Cu: 0.575 0.561 0.783
Cu: 0.976 0.562 0.282
Cu: 0.825 0.439 0.717
Cu: 0.454 0.862 0.929
Cu: 0.858 0.856 0.428
Cu: 0.774 0.564 0.782
Cu: 0.658 0.861 0.925
Cu: 0.975 0.564 0.781
Cu: 0.854 0.846 0.942
As: 0.089 0.261 0.130
As: 0.299 0.252 0.126
As: 0.099 0.252 0.627
As: 0.510 0.225 0.131
As: 0.101 0.748 0.374
As: 0.300 0.252 0.626
As: 0.700 0.251 0.126
As: 0.311 0.739 0.370
As: 0.500 0.253 0.624
As: 0.900 0.250 0.127
As: 0.100 0.748 0.874
As: 0.500 0.750 0.373
As: 0.704 0.260 0.613
As: 0.301 0.748 0.873
As: 0.700 0.749 0.374
As: 0.899 0.253 0.625
As: 0.501 0.747 0.875
As: 0.890 0.775 0.369
As: 0.696 0.740 0.887
As: 0.900 0.747 0.876

Calculated values
size of the total moment: 0.00 μB per formula unit
DFT formation energy: -1157 kJ/mol of formula units
total energy: -4.3086 eV/atom